The following is a DFT calculation (r2SCAN) of a relaxed structure of EuCl2.

POSCAR file:
```
EuCl2
1.0
6.671 0.000 0.000
0.000 6.671 0.000
0.000 0.000 4.413
Eu Cl
2 4
direct
0.000 0.000 0.000 Eu
0.500 0.500 0.500 Eu
0.196 0.196 0.500 Cl
0.304 0.696 0.000 Cl
0.696 0.304 0.000 Cl
0.804 0.804 0.500 Cl
```

Output
ρ   3.8 g/cm3
Formation enthalpy at 0 K   -253.59 kJ per mole of atoms
Volume   32.73 Å³ per atom